No. 1
Below is crystalline Ag2PS3 at its relaxed geometry, with properties calculated at the PBE level.

Cell and atoms, written as POSCAR:
```
Ag2PS3
1.0
6.6001 0.0000 0.0000
0.0000 12.0248 0.0000
-1.1781 0.0000 19.9557
Ag P S
24 12 36
Direct
0.0213 0.1667 0.1283
0.0213 0.3333 0.6283
0.0230 0.1321 0.8929
0.0230 0.3679 0.3929
0.0759 0.5753 0.1667
0.0759 0.9247 0.6667
0.4159 0.5550 0.9069
0.4159 0.9450 0.4069
0.4212 0.7001 0.4923
0.4212 0.7999 0.9923
0.4633 0.7234 0.2151
0.4633 0.7766 0.7151
0.5367 0.2234 0.2849
0.5367 0.2766 0.7849
0.5788 0.2001 0.0077
0.5788 0.2999 0.5077
0.5841 0.0550 0.5931
0.5841 0.4450 0.0931
0.9241 0.0753 0.3333
0.9241 0.4247 0.8333
0.9770 0.6321 0.6071
0.9770 0.8679 0.1071
0.9787 0.6667 0.3717
0.9787 0.8333 0.8717
0.0386 0.0935 0.5094
0.0386 0.4065 0.0094
0.3402 0.5150 0.7320
0.3402 0.9850 0.2320
0.4530 0.0050 0.1257
0.4530 0.4950 0.6257
0.5470 0.5050 0.3743
0.5470 0.9950 0.8743
0.6598 0.0150 0.7680
0.6598 0.4850 0.2680
0.9614 0.5935 0.9906
0.9614 0.9065 0.4906
0.0370 0.6216 0.8935
0.0370 0.8784 0.3935
0.1464 0.6827 0.0579
0.1464 0.8173 0.5579
0.1581 0.6520 0.7292
0.1581 0.8480 0.2292
0.1883 0.1320 0.2504
0.1883 0.3680 0.7504
0.2013 0.0220 0.0614
0.2013 0.4780 0.5614
0.3359 0.1133 0.4923
0.3359 0.3867 0.9923
0.3780 0.6472 0.3712
0.3780 0.8528 0.8712
0.4039 0.1434 0.8923
0.4039 0.3566 0.3923
0.4126 0.0367 0.7026
0.4126 0.4633 0.2026
0.5874 0.5367 0.7974
0.5874 0.9633 0.2974
0.5961 0.6434 0.6077
0.5961 0.8566 0.1077
0.6220 0.1472 0.1288
0.6220 0.3528 0.6288
0.6641 0.6133 0.0077
0.6641 0.8867 0.5077
0.7987 0.5220 0.4386
0.7987 0.9780 0.9386
0.8117 0.6320 0.2496
0.8117 0.8680 0.7496
0.8419 0.1520 0.7708
0.8419 0.3480 0.2708
0.8536 0.1827 0.4421
0.8536 0.3173 0.9421
0.9630 0.1216 0.6065
0.9630 0.3784 0.1065
```

Calculated values
corrected total energy (MP2020 scheme)	-4.34	eV per atom
total magnetic moment	0.06	μB/cell
polymorph energy (0 for the lowest one)	0.0000	eV per atom
E_form	-0.427	eV/atom

---

No. 2
Below is crystalline K2NaBP2 at its relaxed geometry, with properties calculated at the PBE level.

Cell and atoms, written as POSCAR:
```
K2NaBP2
1.0
6.3154 -2.5105 0.0000
6.3154 2.5105 0.0000
-6.2297 0.0000 10.4194
K Na B P
4 2 2 4
Direct
0.0173 0.0173 0.1797
0.1771 0.1771 0.5914
0.8229 0.8229 0.4086
0.9827 0.9827 0.8203
0.2971 0.2971 0.1335
0.7029 0.7029 0.8665
0.5000 0.5000 0.0000
0.5000 0.5000 0.5000
0.3357 0.3357 0.9116
0.4669 0.4669 0.6261
0.5331 0.5331 0.3739
0.6643 0.6643 0.0884
```

Calculated values
total magnetic moment	0.00	μB/cell
E_form	-0.392	eV/atom

---

No. 3
Below is crystalline U3Fe2Ge7 at its relaxed geometry, with properties calculated at the PBE level.

Cell and atoms, written as POSCAR:
```
U3Fe2Ge7
1.0
2.0840 -12.3500 0.0000
2.0840 12.3500 0.0000
0.0000 0.0000 4.2236
U Fe Ge
3 2 7
Direct
0.0000 0.0000 0.0000
0.3147 0.6853 0.5000
0.6853 0.3147 0.5000
0.1256 0.8744 0.0000
0.8744 0.1256 0.0000
0.0874 0.9126 0.5000
0.2200 0.7800 0.0000
0.4135 0.5865 0.0000
0.5000 0.5000 0.5000
0.5865 0.4135 0.0000
0.7800 0.2200 0.0000
0.9126 0.0874 0.5000
```

Calculated values
total magnetic moment	5.02	μB/cell
E_form	-0.279	eV/atom

---

No. 4
Below is crystalline ThAl2Ni3 at its relaxed geometry, with properties calculated at the PBE level.

Cell and atoms, written as POSCAR:
```
ThAl2Ni3
1.0
5.3345 0.0000 0.0000
-2.6673 4.6198 0.0000
0.0000 0.0000 3.8068
Th Al Ni
1 2 3
Direct
0.0000 0.0000 0.0000
0.3333 0.6667 0.0000
0.6667 0.3333 0.0000
0.0000 0.5000 0.5000
0.5000 0.0000 0.5000
0.5000 0.5000 0.5000
```

Calculated values
total magnetic moment	0.07	μB/cell
E_form	-0.533	eV/atom

---

No. 5
Below is crystalline NaLi3Ga4Si8O24 at its relaxed geometry, with properties calculated at the PBE level.

Cell and atoms, written as POSCAR:
```
NaLi3Ga4Si8O24
1.0
5.8735 -4.3511 0.0000
5.8735 4.3511 0.0000
-5.0339 0.0000 8.3026
Na Li Ga Si O
1 3 4 8 24
Direct
0.0000 0.0000 0.0000
0.3149 0.1854 0.7504
0.5220 0.4780 0.5000
0.8146 0.6851 0.2496
0.3939 0.6061 0.0000
0.4451 0.0561 0.2508
0.8938 0.1062 0.5000
0.9439 0.5549 0.7492
0.1345 0.3664 0.0435
0.1369 0.3673 0.4565
0.2019 0.7952 0.2948
0.2048 0.7981 0.7052
0.6327 0.8631 0.5435
0.6336 0.8655 0.9565
0.7000 0.2969 0.7923
0.7031 0.3000 0.2077
0.0700 0.0029 0.6716
0.0755 0.3170 0.5824
0.1482 0.5612 0.2103
0.1584 0.7294 0.8287
0.1823 0.4261 0.9161
0.1872 0.6030 0.5375
0.2706 0.8416 0.1713
0.2772 0.1677 0.0819
0.3404 0.2330 0.4209
0.3970 0.8128 0.4625
0.4388 0.8518 0.7897
0.4964 0.4281 0.8284
0.5719 0.5036 0.1716
0.5739 0.8177 0.0839
0.6520 0.0599 0.7107
0.6560 0.2388 0.3351
0.6826 0.1025 0.0405
0.6830 0.9245 0.4176
0.7612 0.3440 0.6649
0.7670 0.6596 0.5791
0.8323 0.7228 0.9181
0.8975 0.3174 0.9595
0.9401 0.3480 0.2893
0.9971 0.9300 0.3284
```

Calculated values
corrected total energy (MP2020 scheme)	-7.41	eV per atom
total magnetic moment	0.00	μB/cell
E_form	-2.878	eV/atom

---

No. 6
Below is crystalline Li2In2SiSe6 at its relaxed geometry, with properties calculated at the PBE level.

Cell and atoms, written as POSCAR:
```
Li2In2SiSe6
1.0
6.4349 -3.7672 0.0000
6.4349 3.7672 0.0000
-4.3061 0.0000 12.0580
Li In Si Se
4 4 2 12
Direct
0.1001 0.8999 0.5000
0.1023 0.4794 0.8421
0.4794 0.1023 0.3421
0.8999 0.1001 0.0000
0.3857 0.5737 0.1889
0.5737 0.3857 0.6889
0.5905 0.7237 0.9921
0.7237 0.5905 0.4921
0.4949 0.9563 0.7475
0.9563 0.4949 0.2475
0.0630 0.5387 0.4357
0.2403 0.7285 0.0051
0.2500 0.2935 0.1681
0.2907 0.7854 0.6966
0.2935 0.2500 0.6681
0.3722 0.8360 0.3789
0.5387 0.0630 0.9357
0.7285 0.2403 0.5051
0.7777 0.8143 0.1972
0.7854 0.2907 0.1966
0.8143 0.7777 0.6972
0.8360 0.3722 0.8789
```

Calculated values
corrected total energy (MP2020 scheme)	-4.25	eV per atom
total magnetic moment	0.00	μB/cell
E_form	-1.007	eV/atom

---

No. 7
Below is crystalline In4Pb at its relaxed geometry, with properties calculated at the PBE level.

Cell and atoms, written as POSCAR:
```
In4Pb
1.0
2.8385 -1.7181 0.0000
2.8385 1.7181 0.0000
-0.8431 0.0000 14.7619
In Pb
4 1
Direct
0.0998 0.0998 0.2960
0.2984 0.2984 0.9018
0.7016 0.7016 0.0982
0.9002 0.9002 0.7040
0.5000 0.5000 0.5000
```

Calculated values
E_form	0.040	eV/atom

---

No. 8
Below is crystalline CdBiClO2 at its relaxed geometry, with properties calculated at the PBE level.

Cell and atoms, written as POSCAR:
```
CdBiClO2
1.0
6.2913 0.0000 0.0000
0.0000 4.2465 0.0000
-1.0879 0.0000 7.5830
Cd Bi Cl O
2 2 2 4
Direct
0.1531 0.2500 0.3962
0.8469 0.7500 0.6038
0.1858 0.2500 0.8981
0.8142 0.7500 0.1019
0.4776 0.7500 0.7026
0.5224 0.2500 0.2974
0.0100 0.7500 0.3557
0.0461 0.7500 0.9063
0.9539 0.2500 0.0937
0.9900 0.2500 0.6443
```

Calculated values
corrected total energy (MP2020 scheme)	-4.79	eV per atom
total magnetic moment	0.00	μB/cell
E_form	-1.483	eV/atom

---

No. 9
Below is crystalline ZrCr2 at its relaxed geometry, with properties calculated at the PBE level.

Cell and atoms, written as POSCAR:
```
ZrCr2
1.0
5.0768 0.0000 0.0000
-2.5384 4.3966 0.0000
0.0000 0.0000 16.4535
Zr Cr
8 16
Direct
0.0000 0.0000 0.0943
0.0000 0.0000 0.4057
0.0000 0.0000 0.5943
0.0000 0.0000 0.9057
0.3333 0.6667 0.1562
0.3333 0.6667 0.3438
0.6667 0.3333 0.6562
0.6667 0.3333 0.8438
0.0000 0.5000 0.0000
0.0000 0.5000 0.5000
0.1656 0.3312 0.7500
0.1656 0.8344 0.7500
0.3312 0.1656 0.2500
0.3333 0.6667 0.6241
0.3333 0.6667 0.8759
0.5000 0.0000 0.0000
0.5000 0.0000 0.5000
0.5000 0.5000 0.0000
0.5000 0.5000 0.5000
0.6667 0.3333 0.1241
0.6667 0.3333 0.3759
0.6688 0.8344 0.7500
0.8344 0.1656 0.2500
0.8344 0.6688 0.2500
```

Calculated values
total magnetic moment	0.00	μB/cell
E_form	-0.028	eV/atom

---

No. 10
Below is crystalline Te4W3S2 at its relaxed geometry, with properties calculated at the PBE level.

Cell and atoms, written as POSCAR:
```
Te4W3S2
1.0
3.4215 0.0000 0.0000
-1.7107 2.9631 0.0000
0.0000 0.0000 31.7494
Te W S
4 3 2
Direct
0.0000 0.0000 0.0000
0.0000 0.0000 0.1179
0.3333 0.6667 0.2314
0.3333 0.6667 0.3494
0.0000 0.0000 0.2904
0.0000 0.0000 0.8277
0.3333 0.6667 0.0590
0.3333 0.6667 0.7804
0.3333 0.6667 0.8750
```

Calculated values
corrected total energy (MP2020 scheme)	-7.00	eV per atom
total magnetic moment	0.00	μB/cell
E_form	-0.362	eV/atom

---

No. 11
Below is crystalline Mg2Cu3Ge at its relaxed geometry, with properties calculated at the PBE level.

Cell and atoms, written as POSCAR:
```
Mg2Cu3Ge
1.0
8.1109 0.0000 0.0000
0.0000 2.5734 4.3698
0.0000 -2.5734 4.3698
Mg Cu Ge
4 6 2
Direct
0.1759 0.0000 0.0000
0.2941 0.6625 0.6625
0.7059 0.6625 0.6625
0.8241 0.0000 0.0000
0.0000 0.4996 0.4996
0.0000 0.5005 0.9938
0.0000 0.9938 0.5005
0.2481 0.3287 0.3287
0.5000 0.1551 0.1551
0.7519 0.3287 0.3287
0.5000 0.1588 0.6629
0.5000 0.6629 0.1588
```

Calculated values
total magnetic moment	0.00	μB/cell
E_form	-0.124	eV/atom

---

No. 12
Below is crystalline ThNi2P2 at its relaxed geometry, with properties calculated at the PBE level.

Cell and atoms, written as POSCAR:
```
ThNi2P2
1.0
4.1061 0.0000 0.0000
0.0000 4.1061 0.0000
0.0000 0.0000 9.0183
Th Ni P
2 4 4
Direct
0.2500 0.2500 0.2473
0.7500 0.7500 0.7527
0.2500 0.2500 0.6122
0.2500 0.7500 0.0000
0.7500 0.2500 0.0000
0.7500 0.7500 0.3878
0.2500 0.2500 0.8712
0.2500 0.7500 0.5000
0.7500 0.2500 0.5000
0.7500 0.7500 0.1288
```

Calculated values
total magnetic moment	0.00	μB/cell
E_form	-1.024	eV/atom

---

No. 13
Below is crystalline DyZnSi at its relaxed geometry, with properties calculated at the PBE level.

Cell and atoms, written as POSCAR:
```
DyZnSi
1.0
4.1189 0.0000 0.0000
-2.0595 3.5671 0.0000
0.0000 0.0000 4.0445
Dy Zn Si
1 1 1
Direct
0.0000 0.0000 0.0000
0.3333 0.6667 0.5000
0.6667 0.3333 0.5000
```

Calculated values
corrected total energy (MP2020 scheme)	-4.37	eV per atom
E_form	-0.606	eV/atom

---

No. 14
Below is crystalline Mg17Al11Pd at its relaxed geometry, with properties calculated at the PBE level.

Cell and atoms, written as POSCAR:
```
Mg17Al11Pd
1.0
5.2490 -7.4083 0.0000
5.2490 7.4083 0.0000
-5.1277 0.0000 7.3693
Mg Al Pd
17 11 1
Direct
0.0000 0.0000 0.0000
0.0006 0.0006 0.6472
0.0013 0.3398 0.6467
0.0037 0.3141 0.2599
0.2842 0.6815 0.3351
0.3141 0.0037 0.2599
0.3148 0.5936 0.6495
0.3398 0.0013 0.6467
0.3895 0.3895 0.3663
0.3986 0.7148 0.0506
0.5936 0.3148 0.6495
0.5994 0.9980 0.9663
0.6512 0.6512 0.3061
0.6815 0.2842 0.3351
0.6835 0.6835 0.9417
0.7148 0.3986 0.0506
0.9980 0.5994 0.9663
0.0044 0.8229 0.2890
0.1815 0.3653 0.0159
0.1834 0.8187 0.8350
0.3606 0.3606 0.8194
0.3653 0.1815 0.0159
0.6323 0.8133 0.6523
0.6319 0.9971 0.4629
0.8133 0.6323 0.6523
0.8187 0.1834 0.8350
0.8229 0.0044 0.2890
0.9971 0.6319 0.4629
0.1822 0.1822 0.4712
```

Calculated values
E_form	-0.084	eV/atom

---

No. 15
Below is crystalline Pr2ZnGa at its relaxed geometry, with properties calculated at the PBE level.

Cell and atoms, written as POSCAR:
```
Pr2ZnGa
1.0
0.0000 3.7240 3.7240
3.7240 0.0000 3.7240
3.7240 3.7240 0.0000
Pr Zn Ga
2 1 1
Direct
0.2500 0.2500 0.2500
0.7500 0.7500 0.7500
0.0000 0.0000 0.0000
0.5000 0.5000 0.5000
```

Calculated values
E_form	-0.434	eV/atom